1.
Computed, not measured: crystalline RbMg149 at its relaxed geometry at the PBE level of DFT. Values from VASP.

Summary:
energy of formation from the pure elements	-12	meV per atom
SG	P-6m2, No. 187

Geometry as Quantum ESPRESSO input:
```
&SYSTEM
  ibrav = 0, nat = 150, ntyp = 2
/
ATOMIC_SPECIES
Mg 24.30 Mg.upf
Rb 85.47 Rb.upf
CELL_PARAMETERS angstrom
-4.9302 13.5090 7.0818
-10.4511 -11.8021 -2.9043
3.1244 -6.2233 14.0466
ATOMIC_POSITIONS crystal
Mg 0.0000 0.0000 0.3339
Mg 0.9994 0.7982 0.6645
Mg 0.2018 0.2012 0.3355
Mg 0.6637 0.9322 0.1681
Mg 0.8000 0.5999 0.6673
Mg 0.9998 0.5992 0.3340
Mg 0.4000 0.6000 0.3339
Mg 0.2632 0.1316 0.8348
Mg 0.5994 0.5992 0.6660
Mg 0.0706 0.9294 0.1759
Mg 0.0673 0.3342 0.5000
Mg 0.2677 0.1338 0.5000
Mg 0.2685 0.3363 0.1681
Mg 0.5998 0.7999 0.3339
Mg 0.3993 0.6007 0.0000
Mg 0.5994 0.5992 0.3340
Mg 0.5960 0.7980 0.0000
Mg 0.4665 0.9330 0.1678
Mg 0.4666 0.9332 0.5000
Mg 0.2669 0.5338 0.5000
Mg 0.6667 0.3333 0.5000
Mg 0.4008 0.0002 0.6660
Mg 0.2671 0.5342 0.8327
Mg 0.0670 0.5335 0.1678
Mg 0.2685 0.9322 0.8319
Mg 0.2669 0.9327 0.5000
Mg 0.2669 0.7331 0.5000
Mg 0.5970 0.9995 0.0000
Mg 0.8662 0.7323 0.5000
Mg 0.0668 0.9332 0.5000
Mg 0.6001 0.3999 0.6669
Mg 0.0668 0.1336 0.5000
Mg 0.4665 0.5335 0.1678
Mg 0.8659 0.5330 0.5000
Mg 0.4658 0.1331 0.1665
Mg 0.4666 0.5334 0.5000
Mg 0.6006 0.2011 0.0000
Mg 0.8669 0.3327 0.8335
Mg 0.6671 0.1341 0.5000
Mg 0.4008 0.0002 0.3340
Mg 0.7876 0.7900 0.0000
Mg 0.7988 0.0006 0.3355
Mg 0.6658 0.9327 0.5000
Mg 0.8588 0.9294 0.1759
Mg 0.8684 0.1316 0.1652
Mg 0.0024 0.2124 0.0000
Mg 0.6671 0.5330 0.5000
Mg 0.7989 0.2011 0.0000
Mg 0.8000 0.2000 0.6673
Mg 0.9994 0.2012 0.3355
Mg 0.6001 0.3999 0.3331
Mg 0.2020 0.4040 0.0000
Mg 0.7876 0.9976 0.0000
Mg 0.7998 0.3999 0.3331
Mg 0.8684 0.1316 0.8348
Mg 0.7998 0.3999 0.6669
Mg 0.8000 0.2000 0.3327
Mg 0.0706 0.9294 0.8241
Mg 0.4000 0.8001 0.6661
Mg 0.4001 0.2000 0.6673
Mg 0.3993 0.7987 0.0000
Mg 0.0005 0.5975 0.0000
Mg 0.2001 0.7999 0.3339
Mg 0.8664 0.9332 0.5000
Mg 0.0024 0.7900 0.0000
Mg 0.6673 0.5342 0.1665
Mg 0.0678 0.3363 0.1681
Mg 0.4025 0.4030 0.0000
Mg 0.4665 0.5335 0.8322
Mg 0.4670 0.1341 0.5000
Mg 0.4658 0.7329 0.1673
Mg 0.9994 0.2012 0.6645
Mg 0.6673 0.5342 0.8335
Mg 0.7989 0.3995 0.0000
Mg 0.6637 0.7315 0.8319
Mg 0.7989 0.5977 0.0000
Mg 0.0678 0.7315 0.1681
Mg 0.2013 0.6007 0.0000
Mg 0.0005 0.4030 0.0000
Mg 0.6673 0.1331 0.8335
Mg 0.2001 0.7999 0.6661
Mg 0.4662 0.7331 0.5000
Mg 0.4658 0.7329 0.8327
Mg 0.7988 0.7982 0.6645
Mg 0.4008 0.4006 0.3340
Mg 0.2001 0.4002 0.3339
Mg 0.5994 0.0002 0.6660
Mg 0.7988 0.7982 0.3355
Mg 0.8669 0.5342 0.1665
Mg 0.9994 0.7982 0.3355
Mg 0.0668 0.5334 0.5000
Mg 0.6001 0.2002 0.3331
Mg 0.8684 0.7368 0.8348
Mg 0.8000 0.5999 0.3327
Mg 0.8684 0.7368 0.1652
Mg 0.0673 0.7331 0.5000
Mg 0.2100 0.2124 0.0000
Mg 0.4658 0.1331 0.8335
Mg 0.6673 0.1331 0.1665
Mg 0.1999 0.6000 0.6661
Mg 0.4665 0.9330 0.8322
Mg 0.0706 0.1412 0.8241
Mg 0.0670 0.5335 0.8322
Mg 0.6006 0.3994 0.0000
Mg 0.9998 0.5992 0.6660
Mg 0.7988 0.0006 0.6645
Mg 0.4008 0.4006 0.6660
Mg 0.6001 0.2002 0.6669
Mg 0.2632 0.1316 0.1652
Mg 0.0678 0.7315 0.8319
Mg 0.2685 0.9322 0.1681
Mg 0.4023 0.2011 0.0000
Mg 0.2018 0.2012 0.6645
Mg 0.2685 0.3363 0.8319
Mg 0.0000 0.0000 0.6661
Mg 0.6667 0.3333 0.1662
Mg 0.4658 0.3327 0.8335
Mg 0.5998 0.7999 0.6661
Mg 0.2020 0.7980 0.0000
Mg 0.8669 0.5342 0.8335
Mg 0.2100 0.9976 0.0000
Mg 0.4658 0.3327 0.1665
Mg 0.2671 0.7329 0.8327
Mg 0.2018 0.0006 0.6645
Mg 0.5970 0.5975 0.0000
Mg 0.6637 0.7315 0.1681
Mg 0.2669 0.3342 0.5000
Mg 0.4000 0.6000 0.6661
Mg 0.2018 0.0006 0.3355
Mg 0.2671 0.7329 0.1673
Mg 0.5994 0.0002 0.3340
Mg 0.9998 0.4006 0.3340
Mg 0.1999 0.6000 0.3339
Mg 0.9998 0.4006 0.6660
Mg 0.8669 0.3327 0.1665
Mg 0.2671 0.5342 0.1673
Mg 0.6667 0.3333 0.8338
Mg 0.8662 0.1338 0.5000
Mg 0.6658 0.7331 0.5000
Mg 0.2001 0.4002 0.6661
Mg 0.8659 0.3329 0.5000
Mg 0.0678 0.3363 0.8319
Mg 0.8588 0.9294 0.8241
Mg 0.4001 0.2000 0.3327
Mg 0.0706 0.1412 0.1759
Mg 0.6637 0.9322 0.8319
Mg 0.4025 0.9995 0.0000
Mg 0.4670 0.3329 0.5000
Mg 0.4000 0.8001 0.3339
Rb 0.0000 0.0000 0.0000
```

---

2.
Computed, not measured: crystalline Cs2Ga3As5O18 at its relaxed geometry at the PBE level of DFT. Values from VASP.

Summary:
corrected total energy (MP2020 scheme)	-6.340	eV per atom
energy of formation from the pure elements	-1938	meV per atom
SG	C2/c, No. 15

Geometry as Quantum ESPRESSO input:
```
&SYSTEM
  ibrav = 0, nat = 56, ntyp = 4
/
ATOMIC_SPECIES
O 16.00 O.upf
As 74.92 As.upf
Ga 69.72 Ga.upf
Cs 132.91 Cs.upf
CELL_PARAMETERS angstrom
6.8829 -2.6247 11.9379
9.3818 -5.8057 8.6632
8.7652 8.9997 -2.0533
ATOMIC_POSITIONS crystal
O 0.9041 0.0011 0.2157
O 0.7991 0.8136 0.7610
O 0.9989 0.0959 0.2843
O 0.2159 0.1625 0.0361
O 0.0959 0.9989 0.7843
O 0.3831 0.7387 0.4375
O 0.0011 0.9041 0.7157
O 0.3604 0.2115 0.1202
O 0.3685 0.1553 0.3846
O 0.8447 0.6315 0.1154
O 0.1625 0.2159 0.5361
O 0.6006 0.4445 0.1448
O 0.1482 0.7711 0.4910
O 0.8518 0.2289 0.5090
O 0.7387 0.3831 0.9375
O 0.1553 0.3685 0.8846
O 0.4445 0.6006 0.6448
O 0.8375 0.7841 0.4639
O 0.6169 0.2613 0.5625
O 0.3994 0.5555 0.8552
O 0.7881 0.9566 0.1114
O 0.7885 0.6396 0.3798
O 0.6396 0.7885 0.8798
O 0.1864 0.2009 0.7390
O 0.7841 0.8375 0.9639
O 0.8136 0.7991 0.2610
O 0.5555 0.3994 0.3552
O 0.2613 0.6169 0.0625
O 0.6315 0.8447 0.6154
O 0.7711 0.1482 0.9910
O 0.2289 0.8518 0.0090
O 0.2009 0.1864 0.2390
O 0.2115 0.3604 0.6202
O 0.9566 0.7881 0.6114
O 0.0434 0.2119 0.3886
O 0.2119 0.0434 0.8886
As 0.9286 0.9329 0.5844
As 0.0671 0.0714 0.9156
As 0.7034 0.8379 0.3732
As 0.0714 0.0671 0.4156
As 0.1621 0.2966 0.1268
As 0.9329 0.9286 0.0844
As 0.2966 0.1621 0.6268
As 0.2533 0.7467 0.7500
As 0.7467 0.2533 0.2500
As 0.8379 0.7034 0.8732
Ga 0.2679 0.1310 0.8860
Ga 0.7321 0.8690 0.1140
Ga 0.8690 0.7321 0.6140
Ga 0.5000 0.5000 0.0000
Ga 0.5000 0.5000 0.5000
Ga 0.1310 0.2679 0.3860
Cs 0.3169 0.4259 0.3394
Cs 0.4259 0.3169 0.8394
Cs 0.6831 0.5741 0.6606
Cs 0.5741 0.6831 0.1606
```

---

3.
Computed, not measured: crystalline NaCaYSeO6 at its relaxed geometry at the PBE level of DFT. Values from VASP.

Summary:
corrected total energy (MP2020 scheme)	-6.678	eV per atom
energy of formation from the pure elements	-2380	meV per atom
SG	F-43m, No. 216

Geometry as Quantum ESPRESSO input:
```
&SYSTEM
  ibrav = 0, nat = 10, ntyp = 5
/
ATOMIC_SPECIES
Y 88.91 Y.upf
O 16.00 O.upf
Ca 40.08 Ca.upf
Se 78.96 Se.upf
Na 22.99 Na.upf
CELL_PARAMETERS angstrom
0.0000 -4.0000 -4.0000
4.0000 0.0000 -4.0000
4.0000 -4.0000 0.0000
ATOMIC_POSITIONS crystal
Y 0.5000 0.5000 0.5000
O 0.2263 0.7737 0.7737
O 0.2263 0.7737 0.2263
O 0.7737 0.7737 0.2263
O 0.2263 0.2263 0.7737
O 0.7737 0.2263 0.7737
O 0.7737 0.2263 0.2263
Ca 0.7500 0.7500 0.7500
Se 0.0000 0.0000 0.0000
Na 0.2500 0.2500 0.2500
```

---

4.
Computed, not measured: crystalline SrSn3Sb4 at its relaxed geometry at the PBE level of DFT. Values from VASP.

Summary:
corrected total energy (MP2020 scheme)	-4.147	eV per atom
energy of formation from the pure elements	-368	meV per atom
SG	Pnma, No. 62

Geometry as Quantum ESPRESSO input:
```
&SYSTEM
  ibrav = 0, nat = 32, ntyp = 3
/
ATOMIC_SPECIES
Sr 87.62 Sr.upf
Sb 121.76 Sb.upf
Sn 118.71 Sn.upf
CELL_PARAMETERS angstrom
4.4455 0.0000 0.0000
0.0000 10.1762 0.0000
0.0000 0.0000 23.2842
ATOMIC_POSITIONS crystal
Sr 0.7500 0.0620 0.1297
Sr 0.2500 0.9380 0.8703
Sr 0.2500 0.4380 0.6297
Sr 0.7500 0.5620 0.3703
Sb 0.2500 0.7973 0.4081
Sb 0.7500 0.2027 0.5919
Sb 0.7500 0.7027 0.9081
Sb 0.2500 0.4676 0.2682
Sb 0.7500 0.7137 0.1230
Sb 0.7500 0.2137 0.3770
Sb 0.7500 0.5324 0.7318
Sb 0.2500 0.2973 0.0919
Sb 0.7500 0.0725 0.9712
Sb 0.7500 0.5725 0.5288
Sb 0.2500 0.9275 0.0288
Sb 0.2500 0.2863 0.8770
Sb 0.2500 0.9676 0.2318
Sb 0.2500 0.4275 0.4712
Sb 0.2500 0.7863 0.6230
Sb 0.7500 0.0324 0.7682
Sn 0.7500 0.3555 0.0105
Sn 0.7500 0.8555 0.4895
Sn 0.2500 0.5440 0.1495
Sn 0.2500 0.2231 0.7512
Sn 0.2500 0.0440 0.3505
Sn 0.7500 0.2769 0.2512
Sn 0.2500 0.1445 0.5105
Sn 0.2500 0.7231 0.7488
Sn 0.7500 0.4560 0.8505
Sn 0.7500 0.9560 0.6495
Sn 0.2500 0.6445 0.9895
Sn 0.7500 0.7769 0.2488
```

---

5.
Computed, not measured: crystalline LiTl6Si2O7 at its relaxed geometry at the PBE level of DFT. Values from VASP.

Summary:
corrected total energy (MP2020 scheme)	-5.493	eV per atom
energy of formation from the pure elements	-1645	meV per atom
SG	P3, No. 143
offset from the most stable computed form	0.0898	eV per atom

Geometry as Quantum ESPRESSO input:
```
&SYSTEM
  ibrav = 0, nat = 16, ntyp = 4
/
ATOMIC_SPECIES
O 16.00 O.upf
Tl 204.38 Tl.upf
Li 6.94 Li.upf
Si 28.09 Si.upf
CELL_PARAMETERS angstrom
0.0001 -0.0003 -5.2029
-8.5158 0.0005 0.0003
-4.2584 7.3729 0.0004
ATOMIC_POSITIONS crystal
O 0.7890 0.4808 0.1273
O 0.2473 0.5176 0.8770
O 0.7891 0.1276 0.3915
O 0.7892 0.3917 0.4809
O 0.2474 0.6049 0.5182
O 0.3648 0.3334 0.3334
O 0.2473 0.8770 0.6050
Tl 0.1941 0.2705 0.6316
Tl 0.7265 0.7113 0.3816
Tl 0.1940 0.0977 0.2706
Tl 0.1941 0.6320 0.0976
Tl 0.7266 0.9071 0.7112
Tl 0.7265 0.3816 0.9073
Li 0.3616 0.0000 0.0000
Si 0.6878 0.3335 0.3333
Si 0.2131 0.6667 0.6667
```

---

6.
Computed, not measured: crystalline NaMgTaP2SO12 at its relaxed geometry at the PBE level of DFT. Values from VASP.

Summary:
corrected total energy (MP2020 scheme)	-7.667	eV per atom
energy of formation from the pure elements	-2716	meV per atom

Geometry as Quantum ESPRESSO input:
```
&SYSTEM
  ibrav = 0, nat = 108, ntyp = 6
/
ATOMIC_SPECIES
O 16.00 O.upf
P 30.97 P.upf
S 32.06 S.upf
Ta 180.95 Ta.upf
Na 22.99 Na.upf
Mg 24.30 Mg.upf
CELL_PARAMETERS angstrom
-4.1040 2.3740 7.3240
1.7988 -8.4070 -1.4853
19.9026 2.4392 10.3779
ATOMIC_POSITIONS crystal
O 0.1462 0.6595 0.0776
O 0.3623 0.4905 0.3631
O 0.1512 0.6826 0.4733
O 0.8385 0.8099 0.5909
O 0.8568 0.4948 0.4243
O 0.3405 0.8538 0.5776
O 0.3616 0.8653 0.8618
O 0.9652 0.1656 0.5882
O 0.8018 0.8287 0.1953
O 0.6429 0.1251 0.1371
O 0.5393 0.8457 0.4725
O 0.5235 0.8281 0.7576
O 0.8374 0.3105 0.2434
O 0.8504 0.5321 0.7423
O 0.3174 0.8488 0.9733
O 0.9841 0.1822 0.3066
O 0.8379 0.5315 0.0286
O 0.2083 0.0238 0.3038
O 0.6956 0.1572 0.0298
O 0.3562 0.4959 0.0767
O 0.1719 0.4765 0.2576
O 0.5171 0.8654 0.0756
O 0.6738 0.5204 0.2443
O 0.8344 0.0348 0.0882
O 0.5095 0.6377 0.8631
O 0.1901 0.1615 0.0909
O 0.9655 0.8088 0.0909
O 0.0072 0.1871 0.9109
O 0.5416 0.6905 0.9705
O 0.6895 0.1626 0.7434
O 0.2985 0.8323 0.2549
O 0.4796 0.3262 0.7443
O 0.1912 0.0345 0.5909
O 0.8749 0.3571 0.6371
O 0.6318 0.4989 0.9215
O 0.0229 0.8292 0.4100
O 0.1708 0.9771 0.9100
O 0.4685 0.1621 0.5286
O 0.9762 0.7917 0.8038
O 0.1347 0.6384 0.3618
O 0.0289 0.8239 0.6964
O 0.3095 0.4584 0.4705
O 0.1761 0.9711 0.1965
O 0.2059 0.1791 0.8058
O 0.6507 0.5155 0.6399
O 0.4680 0.3051 0.0285
O 0.8726 0.5124 0.1392
O 0.2988 0.4755 0.7576
O 0.4679 0.1496 0.2423
O 0.5011 0.3682 0.4215
O 0.8178 0.0159 0.8066
O 0.8014 0.9718 0.6951
O 0.0282 0.1986 0.1951
O 0.5245 0.7012 0.2576
O 0.6322 0.1421 0.4242
O 0.1713 0.1982 0.6953
O 0.5041 0.6438 0.5767
O 0.4845 0.3493 0.1399
O 0.8129 0.9928 0.4109
O 0.5052 0.1432 0.9243
O 0.8428 0.3044 0.5298
O 0.1837 0.1987 0.4090
O 0.1543 0.4607 0.9725
O 0.8209 0.7941 0.3058
O 0.1352 0.4954 0.8619
O 0.8579 0.3678 0.9242
O 0.5046 0.8648 0.3619
O 0.6949 0.5320 0.5285
O 0.1346 0.4829 0.5756
O 0.8013 0.8163 0.9090
O 0.4876 0.1274 0.6392
O 0.1677 0.7015 0.7549
P 0.0468 0.6716 0.4196
P 0.6264 0.9565 0.4192
P 0.3802 0.3383 0.0863
P 0.3284 0.9532 0.9196
P 0.9951 0.2865 0.2529
P 0.6617 0.6198 0.5863
P 0.7102 0.7069 0.2525
P 0.3769 0.0402 0.5859
P 0.2931 0.2898 0.7525
P 0.7135 0.0049 0.7529
P 0.0435 0.3736 0.9192
P 0.9598 0.6231 0.0859
S 0.3301 0.3770 0.4178
S 0.9968 0.7103 0.7511
S 0.6230 0.6699 0.9178
S 0.6635 0.0436 0.0844
S 0.2897 0.0032 0.2511
S 0.9564 0.3365 0.5844
Ta 0.9967 0.0010 0.1457
Ta 0.6656 0.3367 0.9790
Ta 0.9990 0.0033 0.6457
Ta 0.6633 0.3344 0.4790
Ta 0.3323 0.6700 0.3123
Ta 0.3300 0.6677 0.8123
Na 0.9898 0.9831 0.4914
Na 0.3231 0.6498 0.1580
Na 0.6835 0.3436 0.3247
Na 0.6564 0.3165 0.8247
Na 0.3502 0.6769 0.6580
Na 0.0169 0.0102 0.9914
Mg 0.6735 0.3455 0.1867
Mg 0.9879 0.9931 0.3534
Mg 0.6545 0.3265 0.6867
Mg 0.3402 0.6788 0.5200
Mg 0.3212 0.6598 0.0200
Mg 0.0069 0.0121 0.8534
```

---

7.
Computed, not measured: crystalline CeMnAl at its relaxed geometry at the PBE level of DFT. Values from VASP.

Summary:
energy of formation from the pure elements	-206	meV per atom
SG	Imma, No. 74

Geometry as Quantum ESPRESSO input:
```
&SYSTEM
  ibrav = 0, nat = 6, ntyp = 3
/
ATOMIC_SPECIES
Ce 140.12 Ce.upf
Mn 54.94 Mn.upf
Al 26.98 Al.upf
CELL_PARAMETERS angstrom
-3.8853 0.0122 -3.7738
3.8974 -3.8974 0.0000
-3.8731 -3.8731 0.0000
ATOMIC_POSITIONS crystal
Ce 0.2218 0.1109 0.1391
Ce 0.7782 0.8891 0.8609
Mn 0.5000 0.5000 0.5000
Mn 0.5000 0.0000 0.5000
Al 0.0000 0.5000 0.5000
Al 0.0000 0.5000 0.0000
```

---

8.
Computed, not measured: crystalline Ca2IrO4 at its relaxed geometry at the PBE level of DFT. Values from VASP.

Summary:
corrected total energy (MP2020 scheme)	-7.082	eV per atom
energy of formation from the pure elements	-2419	meV per atom
SG	P-62m, No. 189

Geometry as Quantum ESPRESSO input:
```
&SYSTEM
  ibrav = 0, nat = 21, ntyp = 3
/
ATOMIC_SPECIES
O 16.00 O.upf
Ca 40.08 Ca.upf
Ir 192.22 Ir.upf
CELL_PARAMETERS angstrom
7.6143 5.7521 1.0146
-7.9857 1.6749 5.0514
1.1194 -1.9053 2.4013
ATOMIC_POSITIONS crystal
O 0.1988 0.7543 0.0000
O 0.7543 0.1988 0.0000
O 0.5555 0.8012 0.0000
O 0.4445 0.2457 0.0000
O 0.1802 0.0000 0.5000
O 0.0000 0.1802 0.5000
O 0.0000 0.4428 0.5000
O 0.5572 0.5572 0.5000
O 0.2457 0.4445 0.0000
O 0.4428 0.0000 0.5000
O 0.8012 0.5555 0.0000
O 0.8198 0.8198 0.5000
Ca 0.3333 0.6667 0.5000
Ca 0.3183 0.3183 0.5000
Ca 0.0000 0.6817 0.5000
Ca 0.6817 0.0000 0.5000
Ca 0.0000 0.0000 0.0000
Ca 0.6667 0.3333 0.5000
Ir 0.6812 0.6812 0.0000
Ir 0.3188 0.0000 0.0000
Ir 0.0000 0.3188 0.0000
```